# 1
4
Lattice="0.000 3.265 3.265 3.265 0.000 3.265 3.265 3.265 0.000" Properties=species:S:1:pos:R:3 comment="PaAlCu2 | the Materials Project database | PBE-GGA | relaxed" e_form_mev_per_atom=-148 energy_ev_per_cell=-22.05 pbc="T T T"
Pa 0.000 0.000 0.000
Al 3.265 3.265 3.265
Cu 1.632 1.632 1.632
Cu 4.897 4.897 4.897



# 2
46
Lattice="-7.334 7.334 5.176 7.334 -7.334 5.176 7.334 7.334 -5.176" Properties=species:S:1:pos:R:3 comment="Sm5Mg41 | the Materials Project database | PBE-GGA | relaxed" e_form_mev_per_atom=-45 energy_ev_per_cell=-91.30 m_tot_mub_per_cell=0.0 pbc="T T T"
Sm 0.000 0.000 0.000
Sm 6.288 3.463 0.000
Sm 3.871 -1.046 5.176
Sm 3.463 8.380 0.000
Sm 1.046 3.871 5.176
Mg 3.667 3.667 -2.588
Mg 3.667 -3.667 2.588
Mg 8.764 0.140 0.000
Mg 8.230 -4.008 3.650
Mg 3.327 -0.896 1.526
Mg 6.207 -1.956 2.499
Mg 3.255 1.791 0.000
Mg 8.462 5.337 -1.963
Mg 9.291 -1.128 2.677
Mg 11.342 0.896 1.526
Mg 9.662 3.188 0.000
Mg 5.543 -4.079 5.176
Mg 5.337 6.206 -1.963
Mg 5.378 1.128 2.677
Mg 3.188 5.006 0.000
Mg 0.896 3.327 1.526
Mg 8.462 1.956 2.499
Mg 1.997 1.128 3.213
Mg 0.140 5.904 0.000
Mg -1.128 1.997 3.213
Mg -3.667 3.667 2.588
Mg 0.000 0.000 5.176
Mg 3.667 3.667 2.588
Mg 8.462 5.337 1.963
Mg 7.194 1.430 5.176
Mg 5.337 6.206 1.963
Mg -1.128 5.378 2.677
Mg 6.438 4.008 3.650
Mg 4.146 2.328 5.176
Mg 1.956 6.207 2.499
Mg 1.997 1.128 7.139
Mg 1.791 11.413 0.000
Mg -2.328 4.146 5.176
Mg -4.008 6.438 3.650
Mg -1.956 8.462 2.499
Mg -1.128 1.997 7.139
Mg 4.079 5.543 5.176
Mg 1.128 9.291 2.677
Mg 4.008 8.230 3.650
Mg -0.896 11.342 1.526
Mg -1.430 7.194 5.176



# 3
20
Lattice="6.074 0.000 0.000 -0.008 6.097 0.000 -0.058 -0.039 8.597" Properties=species:S:1:pos:R:3 comment="BaSrPrSbO6 | the Materials Project database | PBE-GGA | relaxed" e_form_mev_per_atom=-2991 energy_ev_per_cell=-135.98 e_above_lowest_polymorph_mev_per_atom=0 m_tot_mub_per_cell=0.0 pbc="T T T"
Ba 0.016 0.128 2.150
Ba 5.992 5.930 6.447
Sr 2.976 3.234 2.171
Sr 3.033 2.824 6.426
Pr -0.033 3.029 4.299
Pr 3.037 0.000 0.000
Sb -0.004 3.049 0.000
Sb 3.008 -0.020 4.299
O 0.446 3.044 6.627
O 1.209 4.635 0.311
O 1.415 4.857 4.058
O 1.588 1.846 0.377
O 1.847 1.617 3.936
O 2.630 0.184 6.274
O 3.378 5.874 2.323
O 4.161 4.441 4.661
O 4.420 4.212 8.220
O 4.594 1.201 4.539
O 4.799 1.423 8.286
O 5.562 3.014 1.970



# 4
16
Lattice="-3.786 3.786 6.776 3.786 -3.786 6.776 3.786 3.786 -6.776" Properties=species:S:1:pos:R:3 comment="Lu5SbPt2 | the Materials Project database | PBE-GGA | relaxed" e_form_mev_per_atom=-1020 energy_ev_per_cell=-94.07 pbc="T T T"
Lu 0.000 0.000 0.000
Lu 4.999 1.213 -1.875
Lu 1.213 2.573 -1.875
Lu 4.999 1.213 1.875
Lu 1.213 2.573 1.875
Lu 0.000 0.000 6.776
Lu 2.573 1.213 4.901
Lu -1.213 2.573 4.901
Lu 2.573 1.213 8.651
Lu -1.213 2.573 8.651
Sb 0.000 0.000 3.388
Sb 0.000 0.000 10.164
Pt 2.749 1.037 0.000
Pt 2.749 -1.037 6.776
Pt 1.037 4.822 0.000
Pt 1.037 2.749 6.776



# 5
14
Lattice="3.074 1.775 5.869 -3.074 1.775 5.869 0.000 -3.549 5.869" Properties=species:S:1:pos:R:3 comment="AlSn2O4 | the Materials Project database | PBE-GGA | relaxed" e_form_mev_per_atom=-1997 energy_ev_per_cell=-85.58 e_above_lowest_polymorph_mev_per_atom=0 m_tot_mub_per_cell=0.0 pbc="T T T"
Al 0.000 0.000 2.418
Al 0.000 0.000 15.190
Sn -1.537 -0.887 5.869
Sn -1.537 0.887 11.738
Sn 0.000 1.775 5.869
Sn 0.000 0.000 8.804
O -1.570 -0.907 9.976
O 0.000 0.000 4.175
O 0.000 -1.813 7.632
O -1.570 0.907 7.632
O 1.570 -0.907 9.976
O 0.000 1.813 9.976
O 0.000 0.000 13.432
O 1.570 0.907 7.632



# 6
14
Lattice="3.962 2.288 6.327 -3.962 2.288 6.327 0.000 -4.575 6.327" Properties=species:S:1:pos:R:3 comment="In2AgS3Br | the Materials Project database | PBE-GGA | relaxed" e_form_mev_per_atom=-817 energy_ev_per_cell=-52.12 m_tot_mub_per_cell=0.0 pbc="T T T"
In 0.000 0.000 0.000
In -3.962 0.000 9.490
In -1.981 1.144 3.163
In 1.981 1.144 3.163
Ag 0.000 0.000 7.962
Ag 0.000 0.000 11.019
S -2.184 -1.261 10.918
S 0.000 -2.522 8.063
S -2.184 1.261 8.063
S 2.184 -1.261 10.918
S 0.000 2.522 10.918
S 2.184 1.261 8.063
Br 0.000 0.000 4.967
Br 0.000 0.000 14.014



# 7
10
Lattice="0.000 5.284 5.284 5.284 0.000 5.284 5.284 5.284 0.000" Properties=species:S:1:pos:R:3 comment="K2PrCuCl6 | the Materials Project database | PBE-GGA | relaxed" e_form_mev_per_atom=-2076 energy_ev_per_cell=-39.27 m_tot_mub_per_cell=0.0 pbc="T T T"
K 2.642 2.642 2.642
K 7.926 7.926 7.926
Pr 0.000 0.000 0.000
Cu 5.284 5.284 5.284
Cl 5.284 5.284 2.742
Cl 5.284 2.742 5.284
Cl 7.826 5.284 5.284
Cl 2.742 5.284 5.284
Cl 5.284 7.826 5.284
Cl 5.284 5.284 7.826



# 8
102
Lattice="-5.637 5.637 18.652 5.637 -5.637 18.652 5.637 5.637 -18.652" Properties=species:S:1:pos:R:3 comment="Pu31Pt20 | the Materials Project database | PBE-GGA | relaxed" e_form_mev_per_atom=-620 energy_ev_per_cell=-1190.69 m_tot_mub_per_cell=57.5 pbc="T T T"
Pu 6.623 -3.106 10.727
Pu 9.012 0.761 -1.875
Pu 8.803 -0.890 5.112
Pu 6.623 3.106 -7.924
Pu 5.637 0.000 2.901
Pu 4.747 -3.166 13.539
Pu 9.012 0.761 1.875
Pu 2.531 -0.985 7.924
Pu 4.747 3.166 -5.112
Pu 0.761 2.263 -1.875
Pu 3.833 1.805 0.000
Pu 5.637 0.000 6.205
Pu 3.106 4.652 -7.924
Pu 2.471 0.890 5.112
Pu 6.399 3.375 -1.875
Pu 5.637 0.000 9.326
Pu 0.761 2.263 1.875
Pu 2.471 -0.890 13.539
Pu 8.744 0.985 7.924
Pu 5.637 0.000 12.446
Pu 3.833 -1.805 18.652
Pu 6.399 3.375 1.875
Pu -0.890 2.471 5.112
Pu 2.531 0.985 10.727
Pu 3.375 4.876 -1.875
Pu 4.747 3.166 5.112
Pu 5.637 0.000 15.751
Pu 0.985 2.531 7.924
Pu 3.166 6.527 -5.112
Pu 3.375 4.876 1.875
Pu 6.623 3.106 7.924
Pu -0.985 2.531 10.727
Pu 2.263 0.761 16.777
Pu 2.471 -0.890 23.764
Pu 4.652 3.106 10.727
Pu 0.000 5.637 2.901
Pu 0.890 2.471 13.539
Pu 2.263 0.761 20.527
Pu 3.106 4.652 7.924
Pu 6.527 3.166 13.539
Pu -0.761 2.263 16.777
Pu 1.805 7.442 0.000
Pu 0.000 5.637 6.205
Pu -3.106 4.652 10.727
Pu 3.166 6.527 5.112
Pu 4.876 3.375 16.777
Pu 0.000 5.637 9.326
Pu -0.761 2.263 20.527
Pu 3.166 4.747 13.539
Pu 2.531 0.985 26.576
Pu 0.000 5.637 12.446
Pu 1.805 3.833 18.652
Pu 4.876 3.375 20.527
Pu 0.890 2.471 23.764
Pu 3.106 6.623 10.727
Pu -3.375 4.876 16.777
Pu 0.890 8.803 5.112
Pu 0.000 5.637 15.751
Pu -0.985 2.531 26.576
Pu -3.166 6.527 13.539
Pu -3.375 4.876 20.527
Pu -0.985 8.744 7.924
Pt 0.000 0.000 0.000
Pt 7.425 1.788 -4.692
Pt 7.388 -1.751 7.862
Pt 6.723 1.085 0.000
Pt 0.000 0.000 3.758
Pt 3.599 2.038 -2.731
Pt 3.886 -1.751 10.789
Pt 0.000 0.000 6.608
Pt 1.788 3.849 -4.692
Pt 3.599 -2.038 15.921
Pt 0.000 0.000 9.326
Pt 3.599 2.038 2.731
Pt 7.425 1.788 4.692
Pt 0.000 0.000 12.043
Pt 3.886 1.751 7.862
Pt 3.599 -2.038 21.382
Pt 0.000 0.000 14.893
Pt 1.085 4.552 0.000
Pt 7.388 1.751 10.789
Pt 1.788 3.849 4.692
Pt 0.000 0.000 18.652
Pt 3.849 1.788 13.960
Pt -1.751 3.886 7.862
Pt 4.552 1.085 18.652
Pt 0.000 0.000 22.410
Pt 2.038 7.675 -2.731
Pt 1.751 3.886 10.789
Pt 0.000 0.000 25.260
Pt -1.788 3.849 13.960
Pt 2.038 3.599 15.921
Pt 0.000 0.000 27.977
Pt 2.038 7.675 2.731
Pt 3.849 1.788 23.343
Pt 0.000 0.000 30.695
Pt 1.751 7.388 7.862
Pt 2.038 3.599 21.382
Pt 0.000 0.000 33.545
Pt -1.085 4.552 18.652
Pt -1.751 7.388 10.789
Pt -1.788 3.849 23.343